Here is a relaxed structure of K2HgBiCl6 from the Materials Project. Energies are from GGA-PBE.

Values from the calculation:
* crystal system: cubic
* size of the total moment: 0.001 μB per atom
* calculated formation energy: -1.56 eV per atom

a = 11.142 Å, b = 11.142 Å, c = 11.142 Å
α = 90.00°, β = 90.00°, γ = 90.00°
Space group Fm-3m (No. 225)
Asymmetric unit:
K 0.250 0.250 0.250 x8
Hg 0.000 0.000 0.000 x4
Bi 0.000 0.000 0.500 x4
Cl 0.000 0.000 0.256 x24